Material: BSbO3
Method: DFT, PBE-GGA
State: optimized geometry

Energy of formation from the pure elements: -6.30 eV per formula unit

Lattice parameters (Å, degrees): 3.5207 3.5207 3.5207 90.00 90.00 90.00
Closest atoms and distances in Å follow each position.
Space group Pm-3m (No. 221)
One atom of each set of equivalent atoms:
B1 0.0000 0.0000 0.0000 [1 per cell]  6 O 1.76
Sb1 0.5000 0.5000 0.5000 [1 per cell]  12 O 2.49
O1 0.0000 0.0000 0.5000 [3 per cell]  2 B 1.76


Material: K2GaCuF6
Method: DFT, PBE-GGA
State: optimized geometry

Energy of formation from the pure elements: -26.62 eV per formula unit

Lattice parameters (Å, degrees): 8.3401 8.3401 8.3401 90.00 90.00 90.00
Closest atoms and distances in Å follow each position.
Space group Fm-3m (No. 225)
One atom of each set of equivalent atoms:
K1 0.2500 0.2500 0.2500 [8 per cell]  12 F 2.95
Ga1 0.0000 0.0000 0.0000 [4 per cell]  6 F 1.94
Cu1 0.0000 0.0000 0.5000 [4 per cell]  6 F 2.23
F1 0.0000 0.0000 0.2325 [24 per cell]  1 Ga 1.94


Material: K2CeCuBr6
Method: DFT, PBE-GGA
State: optimized geometry

Energy of formation from the pure elements: -17.60 eV per formula unit

Lattice parameters (Å, degrees): 11.1248 11.1248 11.1248 90.00 90.00 90.00
Closest atoms and distances in Å follow each position.
Space group Fm-3m (No. 225)
One atom of each set of equivalent atoms:
K1 0.2500 0.2500 0.2500 [8 per cell]  12 Br 3.93
Ce1 0.0000 0.0000 0.0000 [4 per cell]  6 Br 2.89
Cu1 0.0000 0.0000 0.5000 [4 per cell]  6 Br 2.68
Br1 0.0000 0.0000 0.2593 [24 per cell]  1 Cu 2.68, 1 Ce 2.89


Material: Na2Mg2Si3Sn6S9O48
Method: DFT, PBE-GGA
State: optimized geometry

Energy of formation from the pure elements: -149.30 eV per formula unit

Lattice parameters (Å, degrees): 8.7920 15.2099 22.9021 90.32 90.02 90.04
Closest atoms and distances in Å follow each position.
Space group P1 (No. 1)
One atom of each set of equivalent atoms:
Na1 0.0000 0.0000 0.0000 [1 per cell]  4 O 2.41-2.60
Na2 0.0017 0.9982 0.5039 [1 per cell]  5 O 2.42-2.67
Na3 0.5029 0.5044 0.0005 [1 per cell]  6 O 2.58-2.67
Na4 0.5075 0.5013 0.5015 [1 per cell]  6 O 2.47-2.69
Na5 0.5121 0.1701 0.8379 [1 per cell]  6 O 2.47-2.70
Na6 0.9948 0.6714 0.3410 [1 per cell]  3 O 2.35-2.61
Mg1 0.0033 0.0023 0.3567 [1 per cell]  6 O 2.05-2.10
Mg2 0.0086 0.6743 0.1878 [1 per cell]  4 O 1.89-2.12
Mg3 0.4987 0.1728 0.6860 [1 per cell]  3 O 1.89-2.09
Mg4 0.5031 0.5042 0.8532 [1 per cell]  6 O 2.01-2.16
Mg5 0.5111 0.1697 0.9807 [1 per cell]  5 O 1.92-2.12
Mg6 0.9915 0.6755 0.4832 [1 per cell]  2 O 1.89-1.95
Si1 0.1518 0.8576 0.7545 [1 per cell]  4 O 1.62-1.63
Si2 0.1530 0.8141 0.0889 [1 per cell]  4 O 1.57-1.69
Si3 0.3551 0.3139 0.5890 [1 per cell]  4 O 1.57-1.69
Si4 0.3547 0.3588 0.2542 [1 per cell]  4 O 1.61-1.65
Si5 0.6548 0.6901 0.4190 [1 per cell]  4 O 1.59-1.66
Si6 0.7184 0.3343 0.4203 [1 per cell]  4 O 1.62-1.65
Si7 0.7883 0.8358 0.9197 [1 per cell]  4 O 1.62-1.65
Si8 0.8538 0.1902 0.9185 [1 per cell]  4 O 1.59-1.67
Si9 0.8597 0.8153 0.5837 [1 per cell]  4 O 1.57-1.67
Sn1 0.9998 0.3339 0.8152 [1 per cell]  6 O 1.93-2.16
Sn2 0.0003 0.6794 0.6887 [1 per cell]  5 O 1.93-2.15
Sn3 0.0010 0.6797 0.9822 [1 per cell]  4 O 1.93-2.15
Sn4 0.0034 0.3377 0.5248 [1 per cell]  5 O 1.92-2.14
Sn5 0.0040 0.3331 0.0207 [1 per cell]  6 O 1.92-2.13
Sn6 0.0052 0.3361 0.3173 [1 per cell]  4 O 1.93-2.12
Sn7 0.0051 0.9968 0.1518 [1 per cell]  5 O 1.95-2.14
Sn8 0.0069 0.9962 0.6511 [1 per cell]  5 O 1.94-2.16
Sn9 0.4996 0.5033 0.1550 [1 per cell]  4 O 1.93-2.13
Sn10 0.5023 0.1728 0.1917 [1 per cell]  6 O 1.92-2.14
Sn11 0.5016 0.4994 0.6502 [1 per cell]  6 O 1.95-2.13
Sn12 0.5015 0.8373 0.0228 [1 per cell]  4 O 1.92-2.13
Sn13 0.5054 0.8357 0.8143 [1 per cell]  4 O 1.91-2.11
Sn14 0.5071 0.1783 0.4839 [1 per cell]  6 O 1.93-2.16
Sn15 0.5073 0.8348 0.3194 [1 per cell]  6 O 1.91-2.14
Sn16 0.5114 0.4986 0.3595 [1 per cell]  5 O 1.95-2.14
Sn17 0.5128 0.8304 0.5246 [1 per cell]  4 O 1.93-2.14
Sn18 0.9948 0.9991 0.8574 [1 per cell]  4 O 1.93-2.10
S1 0.1473 0.4849 0.4204 [1 per cell]  4 O 1.45-1.50
S2 0.1468 0.5243 0.0856 [1 per cell]  4 O 1.45-1.52
S3 0.1487 0.1877 0.4199 [1 per cell]  4 O 1.47-1.49
S4 0.1518 0.1481 0.7530 [1 per cell]  4 O 1.46-1.51
S5 0.2103 0.5040 0.7545 [1 per cell]  4 O 1.46-1.51
S6 0.2121 0.8379 0.4205 [1 per cell]  4 O 1.46-1.53
S7 0.2143 0.1704 0.0853 [1 per cell]  4 O 1.45-1.50
S8 0.2921 0.6697 0.5854 [1 per cell]  4 O 1.46-1.52
S9 0.2957 0.0022 0.2551 [1 per cell]  4 O 1.45-1.50
S10 0.2976 0.3380 0.9194 [1 per cell]  4 O 1.46-1.52
S11 0.3544 0.6502 0.2543 [1 per cell]  4 O 1.46-1.52
S12 0.3591 0.6876 0.9193 [1 per cell]  4 O 1.47-1.49
S13 0.3591 0.9845 0.9197 [1 per cell]  4 O 1.46-1.49
S14 0.3611 0.0253 0.5858 [1 per cell]  4 O 1.45-1.51
S15 0.6474 0.0276 0.0866 [1 per cell]  4 O 1.44-1.51
S16 0.6476 0.3575 0.7548 [1 per cell]  4 O 1.46-1.51
S17 0.6489 0.3159 0.0852 [1 per cell]  4 O 1.45-1.51
S18 0.6491 0.6454 0.7535 [1 per cell]  4 O 1.46-1.51
S19 0.6497 0.9840 0.4204 [1 per cell]  4 O 1.47-1.51
S20 0.7084 0.0065 0.7524 [1 per cell]  4 O 1.47-1.49
S21 0.7129 0.6684 0.0882 [1 per cell]  4 O 1.45-1.55
S22 0.7943 0.1691 0.5884 [1 per cell]  4 O 1.44-1.50
S23 0.7992 0.5058 0.2528 [1 per cell]  4 O 1.47-1.52
S24 0.8572 0.4836 0.9201 [1 per cell]  4 O 1.47-1.51
S25 0.8574 0.8572 0.2555 [1 per cell]  4 O 1.45-1.52
S26 0.8603 0.1459 0.2534 [1 per cell]  4 O 1.44-1.53
S27 0.8605 0.5270 0.5869 [1 per cell]  4 O 1.44-1.51
O1 0.0713 0.9019 0.8113 [1 per cell]  1 Si 1.63
O2 0.0732 0.7774 0.0287 [1 per cell]  1 Si 1.64
O3 0.0740 0.9154 0.0914 [1 per cell]  1 Si 1.69
O4 0.0759 0.1113 0.7002 [1 per cell]  1 S 1.49
O5 0.0771 0.1013 0.4114 [1 per cell]  1 S 1.47
O6 0.0779 0.2277 0.4722 [1 per cell]  1 S 1.48
O7 0.0785 0.7602 0.7476 [1 per cell]  1 Si 1.62
O8 0.0794 0.4337 0.0773 [1 per cell]  1 S 1.51
O9 0.0789 0.4455 0.3663 [1 per cell]  1 S 1.50
O10 0.0804 0.5615 0.1379 [1 per cell]  1 S 1.45
O11 0.0799 0.5715 0.4274 [1 per cell]  1 S 1.45
O12 0.0810 0.2379 0.7590 [1 per cell]  1 S 1.51
O13 0.1116 0.5801 0.7450 [1 per cell]  1 S 1.47
O14 0.1125 0.0924 0.0934 [1 per cell]  1 S 1.50
O15 0.1130 0.4226 0.7617 [1 per cell]  1 S 1.51
O16 0.1174 0.9168 0.4122 [1 per cell]  1 S 1.47
O17 0.1183 0.2512 0.0810 [1 per cell]  1 S 1.50
O18 0.1233 0.0952 0.8062 [1 per cell]  1 S 1.49
O19 0.1232 0.7571 0.4253 [1 per cell]  1 S 1.46
O20 0.1243 0.5769 0.0316 [1 per cell]  1 S 1.49
O21 0.1236 0.7562 0.1445 [1 per cell]  1 Si 1.57
O22 0.1276 0.4280 0.4719 [1 per cell]  1 S 1.48
O23 0.1297 0.2439 0.3671 [1 per cell]  1 S 1.49
O24 0.1345 0.9193 0.6971 [1 per cell]  1 Si 1.63
O25 0.1722 0.3469 0.2623 [1 per cell]  1 Si 1.63
O26 0.1725 0.3274 0.5771 [1 per cell]  1 Si 1.64
O27 0.1895 0.6564 0.2468 [1 per cell]  1 S 1.46
O28 0.1907 0.0196 0.5904 [1 per cell]  1 S 1.51
O29 0.1922 0.6776 0.9270 [1 per cell]  1 S 1.49
O30 0.1920 0.9921 0.9141 [1 per cell]  1 S 1.48
O31 0.1992 0.0181 0.3053 [1 per cell]  1 S 1.45
O32 0.2004 0.6520 0.5337 [1 per cell]  1 S 1.46
O33 0.2009 0.3228 0.8667 [1 per cell]  1 S 1.49
O34 0.2027 0.3572 0.9733 [1 per cell]  1 S 1.52
O35 0.2047 0.6817 0.6404 [1 per cell]  1 S 1.49
O36 0.2059 0.9865 0.2001 [1 per cell]  1 S 1.50
O37 0.3024 0.4856 0.7010 [1 per cell]  1 S 1.49
O38 0.3053 0.1846 0.1397 [1 per cell]  1 S 1.50
O39 0.3062 0.5177 0.8059 [1 per cell]  1 S 1.46
O40 0.3064 0.8234 0.3653 [1 per cell]  1 S 1.53
O41 0.3084 0.1557 0.0340 [1 per cell]  1 S 1.45
O42 0.3088 0.8561 0.4725 [1 per cell]  1 S 1.49
O43 0.3149 0.1782 0.4267 [1 per cell]  1 S 1.48
O44 0.3148 0.4912 0.4136 [1 per cell]  1 S 1.48
O45 0.3169 0.1566 0.7472 [1 per cell]  1 S 1.46
O46 0.3186 0.5152 0.0900 [1 per cell]  1 S 1.52
O47 0.3354 0.8479 0.7630 [1 per cell]  1 Si 1.63
O48 0.3357 0.8277 0.0771 [1 per cell]  1 Si 1.64
O49 0.3761 0.4167 0.1940 [1 per cell]  1 Si 1.65
O50 0.3786 0.7438 0.8679 [1 per cell]  1 S 1.47
O51 0.3789 0.9289 0.9727 [1 per cell]  1 S 1.49
O52 0.3835 0.2568 0.6449 [1 per cell]  1 Si 1.57
O53 0.3839 0.0789 0.5313 [1 per cell]  1 S 1.51
O54 0.3837 0.5946 0.3052 [1 per cell]  1 S 1.47
O55 0.3855 0.7500 0.5809 [1 per cell]  1 S 1.48
O56 0.3866 0.2580 0.9277 [1 per cell]  1 S 1.46
O57 0.3925 0.4169 0.9127 [1 per cell]  1 S 1.47
O58 0.3943 0.0804 0.2456 [1 per cell]  1 S 1.49
O59 0.3941 0.9231 0.2612 [1 per cell]  1 S 1.49
O60 0.3963 0.5913 0.5933 [1 per cell]  1 S 1.52
O61 0.4238 0.9361 0.5766 [1 per cell]  1 S 1.48
O62 0.4253 0.7387 0.2594 [1 per cell]  1 S 1.49
O63 0.4271 0.0715 0.9278 [1 per cell]  1 S 1.46
O64 0.4291 0.0632 0.6378 [1 per cell]  1 S 1.45
O65 0.4288 0.7266 0.9730 [1 per cell]  1 S 1.49
O66 0.4287 0.9450 0.8672 [1 per cell]  1 S 1.48
O67 0.4298 0.6005 0.9124 [1 per cell]  1 S 1.47
O68 0.4303 0.6140 0.1997 [1 per cell]  1 S 1.52
O69 0.4341 0.2624 0.2448 [1 per cell]  1 Si 1.64
O70 0.4338 0.2777 0.5284 [1 per cell]  1 Si 1.64
O71 0.4336 0.4149 0.5916 [1 per cell]  1 Si 1.69
O72 0.4372 0.4035 0.3094 [1 per cell]  1 Si 1.61
O73 0.5624 0.5962 0.4115 [1 per cell]  1 Si 1.65
O74 0.5617 0.7306 0.4747 [1 per cell]  1 Si 1.63
O75 0.5758 0.0706 0.4283 [1 per cell]  1 S 1.48
O76 0.5757 0.6071 0.6991 [1 per cell]  1 S 1.51
O77 0.5764 0.9473 0.3661 [1 per cell]  1 S 1.51
O78 0.5784 0.0661 0.1416 [1 per cell]  1 S 1.51
O79 0.5775 0.2763 0.0344 [1 per cell]  1 S 1.45
O80 0.5805 0.3998 0.8064 [1 per cell]  1 S 1.47
O81 0.5798 0.4065 0.0922 [1 per cell]  1 S 1.51
O82 0.5798 0.7335 0.7582 [1 per cell]  1 S 1.48
O83 0.5808 0.9390 0.0823 [1 per cell]  1 S 1.47
O84 0.5834 0.2695 0.7475 [1 per cell]  1 S 1.46
O85 0.6091 0.5865 0.0933 [1 per cell]  1 S 1.55
O86 0.6111 0.0840 0.7454 [1 per cell]  1 S 1.47
O87 0.6116 0.4211 0.4165 [1 per cell]  1 Si 1.62
O88 0.6155 0.7457 0.0801 [1 per cell]  1 S 1.47
O89 0.6162 0.2461 0.4253 [1 per cell]  1 Si 1.62
O90 0.6172 0.9257 0.7596 [1 per cell]  1 S 1.48
O91 0.6197 0.5918 0.8051 [1 per cell]  1 S 1.46
O92 0.6221 0.0814 0.0357 [1 per cell]  1 S 1.44
O93 0.6253 0.9284 0.4719 [1 per cell]  1 S 1.47
O94 0.6289 0.2629 0.1392 [1 per cell]  1 S 1.49
O95 0.6287 0.4128 0.7013 [1 per cell]  1 S 1.50
O96 0.6304 0.7514 0.3600 [1 per cell]  1 Si 1.66
O97 0.6743 0.1817 0.9255 [1 per cell]  1 Si 1.59
O98 0.6748 0.8299 0.5812 [1 per cell]  1 Si 1.64
O99 0.6848 0.8196 0.8618 [1 per cell]  1 Si 1.63
O100 0.6873 0.8544 0.9793 [1 per cell]  1 Si 1.65
O101 0.6878 0.8522 0.2595 [1 per cell]  1 S 1.50
O102 0.6900 0.5184 0.5943 [1 per cell]  1 S 1.51
O103 0.6922 0.4918 0.9130 [1 per cell]  1 S 1.47
O104 0.6927 0.1539 0.2441 [1 per cell]  1 S 1.49
O105 0.7005 0.1820 0.6395 [1 per cell]  1 S 1.44
O106 0.7034 0.5227 0.3042 [1 per cell]  1 S 1.47
O107 0.7041 0.4880 0.1987 [1 per cell]  1 S 1.52
O108 0.7060 0.1490 0.5337 [1 per cell]  1 S 1.50
O109 0.8009 0.6479 0.0341 [1 per cell]  1 S 1.49
O110 0.8016 0.0236 0.8058 [1 per cell]  1 S 1.49
O111 0.8037 0.9900 0.7004 [1 per cell]  1 S 1.48
O112 0.8055 0.6801 0.1399 [1 per cell]  1 S 1.45
O113 0.8149 0.6516 0.7462 [1 per cell]  1 S 1.47
O114 0.8149 0.9926 0.4119 [1 per cell]  1 S 1.47
O115 0.8169 0.0197 0.0945 [1 per cell]  1 S 1.51
O116 0.8169 0.3274 0.0799 [1 per cell]  1 S 1.49
O117 0.8184 0.3524 0.7593 [1 per cell]  1 S 1.51
O118 0.8197 0.3190 0.3607 [1 per cell]  1 Si 1.65
O119 0.8217 0.3542 0.4782 [1 per cell]  1 Si 1.63
O120 0.8339 0.6782 0.4230 [1 per cell]  1 Si 1.59
O121 0.8739 0.7576 0.6441 [1 per cell]  1 Si 1.65
O122 0.8762 0.9125 0.2008 [1 per cell]  1 S 1.52
O123 0.8795 0.4278 0.9738 [1 per cell]  1 S 1.51
O124 0.8814 0.2539 0.8618 [1 per cell]  1 Si 1.64
O125 0.8844 0.5789 0.5351 [1 per cell]  1 S 1.44
O126 0.8853 0.0917 0.3040 [1 per cell]  1 S 1.44
O127 0.8895 0.2482 0.5800 [1 per cell]  1 S 1.48
O128 0.8890 0.7467 0.9250 [1 per cell]  1 Si 1.63
O129 0.8902 0.4251 0.2589 [1 per cell]  1 S 1.47
O130 0.8949 0.5836 0.2441 [1 per cell]  1 S 1.47
O131 0.8961 0.9223 0.9168 [1 per cell]  1 Si 1.62
O132 0.8978 0.0909 0.5938 [1 per cell]  1 S 1.50
O133 0.9234 0.7698 0.2470 [1 per cell]  1 S 1.46
O134 0.9254 0.4375 0.5823 [1 per cell]  1 S 1.48
O135 0.9275 0.9003 0.3056 [1 per cell]  1 S 1.45
O136 0.9275 0.2343 0.2577 [1 per cell]  1 S 1.47
O137 0.9290 0.5634 0.6418 [1 per cell]  1 S 1.50
O138 0.9312 0.1075 0.1980 [1 per cell]  1 S 1.53
O139 0.9312 0.4453 0.8677 [1 per cell]  1 S 1.48
O140 0.9321 0.5696 0.9293 [1 per cell]  1 S 1.48
O141 0.9331 0.9165 0.5905 [1 per cell]  1 Si 1.67
O142 0.9398 0.2306 0.9778 [1 per cell]  1 Si 1.67
O143 0.9415 0.7750 0.5290 [1 per cell]  1 Si 1.57
O144 0.9442 0.0966 0.9120 [1 per cell]  1 Si 1.64